The following is a GGA-PBE calculation of crystalline Y5B4Rh15 at its relaxed geometry, from Materials Project.

- crystal system = tetragonal
- V (Å³/atom) = 15.304
- SG = P4/mmm (123)
- energy of formation (meV/atom) = -723
- calculated total energy (eV per atom) = -7.786

Cell lengths 4.2190, 4.2190, 20.6338 Å; angles 90.00, 90.00, 90.00 degrees
With the nearest neighbours (Å) after each atom.
Atoms (fractional coordinates):
1 Rh 0.5000 0.0000 0.3994  2 B 2.11
2 Rh 0.5000 0.5000 0.9099  1 B 2.05
3 Rh 0.0000 0.5000 0.1977  2 B 2.12
4 Rh 0.5000 0.5000 0.2960  2 B 2.10-2.20
5 Rh 0.0000 0.5000 0.6006  2 B 2.11
6 Rh 0.5000 0.0000 0.8023  2 B 2.12
7 Rh 0.5000 0.5000 0.0901  1 B 2.05
8 Rh 0.0000 0.5000 0.3994  2 B 2.11
9 Rh 0.5000 0.0000 0.6006  2 B 2.11
10 Rh 0.5000 0.5000 0.5000  2 B 2.11
11 Rh 0.0000 0.5000 0.8023  2 B 2.12
12 Rh 0.0000 0.5000 0.0000  8 Rh 2.81-2.98, 4 Y 2.90
13 Rh 0.5000 0.0000 0.1977  2 B 2.12
14 Rh 0.5000 0.5000 0.7040  2 B 2.10-2.20
15 Rh 0.5000 0.0000 0.0000  8 Rh 2.81-2.98, 4 Y 2.90
16 B 0.5000 0.5000 0.8105  6 Rh 2.05-2.20
17 B 0.5000 0.5000 0.3977  6 Rh 2.10-2.11
18 B 0.5000 0.5000 0.1895  6 Rh 2.05-2.20
19 B 0.5000 0.5000 0.6023  6 Rh 2.10-2.11
20 Y 0.0000 0.0000 0.2990  12 Rh 2.96-2.98
21 Y 0.0000 0.0000 0.7010  12 Rh 2.96-2.98
22 Y 0.0000 0.0000 0.9034  12 Rh 2.90-2.99
23 Y 0.0000 0.0000 0.0966  12 Rh 2.90-2.99
24 Y 0.0000 0.0000 0.5000  12 Rh 2.96-2.98